# 1
Na6La5Nb3Si6S6O48: optimized geometry, PBE.

Structure (extended XYZ):
```
222
Lattice="9.414 0.000 0.000 -0.040 16.290 0.000 -0.218 -0.016 24.001" Properties=species:S:1:pos:R:3 pbc="T T T"
Na 0.000 0.000 0.000
Na -0.055 10.850 3.740
Na -0.076 16.174 11.759
Na 0.002 5.736 7.917
Na -0.039 10.809 15.579
Na 1.203 2.766 9.934
Na 1.683 13.682 9.854
Na 4.264 8.140 23.657
Na 4.465 2.885 15.706
Na 4.613 2.644 3.458
Na 4.553 7.980 11.672
Na 4.613 13.646 7.860
Na 4.548 13.571 19.961
Na 5.802 10.904 9.748
Na 6.329 5.724 10.022
Na 7.195 13.665 21.945
Na 7.619 2.813 21.936
Na 9.052 5.545 19.631
La -0.106 5.498 11.412
La -0.159 16.196 15.213
La 4.474 8.097 8.285
La 4.551 8.097 3.252
La 4.369 13.527 23.376
La 4.566 2.623 7.249
La 4.459 2.710 19.293
La 4.522 13.687 11.371
La 4.520 7.989 15.332
La 9.102 -0.003 20.216
La 9.246 16.143 8.231
La 9.163 10.771 19.180
La 9.280 10.777 7.315
La 9.158 5.456 23.314
La 9.313 16.228 3.220
Nb -0.016 5.292 3.931
Nb -0.115 5.302 15.998
Nb -0.065 10.846 12.047
Nb 4.313 13.324 16.114
Nb 4.380 2.779 12.310
Nb 4.405 8.053 20.198
Nb 4.549 13.535 3.810
Nb 4.817 2.733 0.282
Nb 9.194 10.871 0.307
Si 1.279 2.993 13.637
Si 1.622 13.306 13.651
Si 2.653 10.808 9.780
Si 2.810 5.249 1.646
Si 2.915 5.747 17.743
Si 3.068 11.124 1.633
Si 3.140 0.384 9.841
Si 3.208 5.031 9.779
Si 3.305 16.107 1.631
Si 3.186 10.446 17.746
Si 5.724 5.123 21.760
Si 5.868 0.322 21.787
Si 6.453 5.247 13.645
Si 6.372 10.675 21.688
Si 7.382 13.441 1.634
Si 7.898 3.015 1.608
Si 7.841 8.443 9.819
Si 7.922 13.193 9.783
S 0.928 13.135 21.856
S 1.069 7.920 13.857
S 1.214 2.625 5.664
S 1.292 8.481 21.734
S 1.526 13.752 5.662
S 1.589 7.923 5.594
S 1.685 2.610 21.835
S 2.718 16.039 17.631
S 5.739 16.039 13.874
S 5.911 10.771 5.647
S 6.008 11.212 13.803
S 6.248 5.628 5.660
S 6.317 16.066 5.619
S 7.293 2.644 9.846
S 7.236 7.893 17.804
S 7.550 13.785 17.663
S 7.882 2.576 17.634
S 8.078 7.903 1.790
O 0.149 14.422 21.896
O 0.292 9.188 13.853
O 0.519 3.983 5.431
O 0.429 12.318 23.042
O 0.527 7.053 14.988
O 0.705 2.107 6.954
O 0.699 9.102 5.591
O 0.630 14.534 13.953
O 0.739 6.686 5.396
O 0.716 1.532 13.940
O 0.637 12.443 20.612
O 0.779 3.547 12.235
O 0.865 1.744 4.558
O 0.765 11.876 13.598
O 0.729 3.757 21.845
O 0.766 7.099 21.773
O 0.856 4.091 14.931
O 0.791 9.113 20.515
O 0.925 14.524 4.573
O 0.836 1.354 21.837
O 0.908 7.220 12.584
O 0.954 12.386 5.643
O 0.956 9.254 22.952
O 1.255 14.447 6.969
O 1.209 5.703 17.412
O 1.388 11.055 1.447
O 1.472 0.459 9.842
O 1.577 5.172 2.987
O 1.532 10.741 11.106
O 1.593 5.119 9.795
O 1.815 0.107 2.010
O 1.661 10.892 17.949
O 1.759 11.023 8.473
O 1.867 5.554 0.413
O 1.819 16.195 16.486
O 1.943 15.835 18.878
O 2.304 7.741 6.882
O 2.435 13.527 12.301
O 2.532 8.044 4.486
O 2.364 13.384 21.913
O 2.413 2.675 20.562
O 2.496 8.169 14.017
O 2.663 2.874 5.664
O 2.574 2.581 23.007
O 2.819 13.215 14.972
O 2.821 8.401 21.643
O 2.964 2.949 13.611
O 3.019 13.685 5.485
O 3.459 15.218 0.330
O 3.354 4.213 17.933
O 3.486 12.238 2.924
O 3.391 6.778 19.069
O 3.610 3.824 1.533
O 3.593 9.654 1.995
O 3.532 9.441 9.844
O 3.537 15.116 9.868
O 3.510 9.715 16.389
O 3.635 4.178 8.490
O 3.551 6.383 16.439
O 3.547 14.768 17.411
O 3.713 11.699 0.314
O 3.626 12.097 9.913
O 3.693 1.053 8.486
O 3.699 1.323 11.172
O 3.674 0.889 17.682
O 3.819 6.449 1.962
O 3.779 4.146 11.171
O 3.841 9.613 19.064
O 3.995 15.088 2.929
O 3.945 12.037 17.395
O 4.054 6.428 9.846
O 4.204 1.227 1.519
O 4.954 6.599 21.462
O 5.058 1.053 13.822
O 5.095 4.262 23.106
O 5.235 12.101 5.452
O 5.174 15.195 14.976
O 5.455 0.957 5.641
O 5.443 10.201 6.950
O 5.436 6.463 13.866
O 5.434 9.884 13.969
O 5.498 14.814 5.468
O 5.405 1.037 20.431
O 5.365 15.059 21.778
O 5.396 1.361 23.081
O 5.553 9.860 4.551
O 5.523 11.781 12.541
O 5.630 6.364 4.555
O 5.519 12.139 14.953
O 5.477 9.280 21.440
O 5.468 12.001 21.822
O 5.580 3.788 13.544
O 5.703 4.246 5.679
O 5.572 4.165 20.486
O 5.639 15.348 12.587
O 5.999 6.330 6.953
O 6.232 3.041 1.576
O 6.202 13.269 2.855
O 6.072 13.710 17.454
O 6.190 8.512 9.872
O 6.325 13.260 9.950
O 6.380 2.571 11.009
O 6.299 7.808 18.980
O 6.430 2.786 17.642
O 6.557 2.739 8.572
O 6.522 8.116 16.558
O 6.659 8.166 2.022
O 6.744 13.618 0.197
O 7.088 15.959 6.899
O 7.241 16.218 4.494
O 7.212 5.397 12.240
O 7.228 -0.002 14.078
O 7.385 10.958 5.625
O 7.327 5.351 21.920
O 7.425 10.904 20.505
O 7.486 11.200 13.864
O 7.496 10.545 23.093
O 7.571 0.351 21.798
O 7.659 5.194 14.916
O 7.742 5.559 5.436
O 7.789 14.498 18.963
O 8.038 6.634 17.730
O 8.234 7.186 0.528
O 8.169 3.849 9.891
O 8.181 1.434 9.827
O 8.256 11.941 1.526
O 8.120 12.426 17.679
O 8.168 9.039 17.948
O 8.246 12.416 8.424
O 8.185 14.541 16.574
O 8.368 4.110 2.905
O 8.262 1.676 16.544
O 8.307 6.882 9.818
O 8.425 1.548 1.917
O 8.440 3.623 0.241
O 8.399 9.131 8.483
O 8.408 9.387 11.165
O 8.481 14.538 1.974
O 8.393 2.043 18.934
O 8.558 12.268 11.114
O 8.683 7.128 2.934
O 8.579 3.920 17.434
O 8.819 9.223 1.703
O 8.780 14.606 9.846
```

Calculated total energy in hartree per atom: -0.26261

# 2
Na2La4Nb4Si5S7O48: optimized geometry, PBE.

Structure (extended XYZ):
```
210
Lattice="9.270 0.000 0.000 -0.032 15.991 0.000 -0.039 -0.023 24.037" Properties=species:S:1:pos:R:3 pbc="T T T"
Na 0.000 0.000 0.000
Na -0.013 10.463 8.137
Na 4.382 7.822 11.816
Na 4.435 2.503 20.126
Na 4.540 7.807 0.079
Na 9.162 15.820 12.001
La 0.092 5.018 0.682
La 0.077 10.569 11.507
La 4.350 2.598 23.544
La 4.352 13.003 12.702
La 4.531 13.249 0.745
La 4.541 2.542 16.423
La 4.545 7.686 8.471
La 4.596 7.983 20.344
La 9.118 0.015 8.339
La 9.169 10.543 4.445
La 9.130 15.725 20.455
La 9.230 5.233 12.736
Nb -0.045 10.541 16.624
Nb -0.004 10.569 23.666
Nb 4.366 2.689 11.549
Nb 4.515 2.584 4.625
Nb 4.509 13.216 7.520
Nb 4.541 7.756 3.572
Nb 4.641 13.039 19.350
Nb 4.674 7.834 15.635
Nb 9.040 15.835 3.661
Nb 9.095 15.764 15.461
Nb 9.181 5.195 19.511
Nb 9.217 5.016 7.452
Si 1.114 12.793 14.144
Si 1.251 2.826 21.925
Si 1.295 2.180 5.942
Si 1.832 2.325 14.024
Si 2.525 5.116 10.010
Si 2.659 10.306 2.042
Si 3.161 10.148 17.956
Si 3.172 10.841 9.908
Si 3.335 4.819 2.134
Si 5.722 4.957 14.006
Si 6.010 5.480 5.954
Si 6.333 15.812 5.943
Si 7.342 7.805 17.956
Si 7.813 13.471 17.927
Si 8.010 12.983 2.009
S 1.132 7.547 22.035
S 1.372 13.541 6.055
S 1.402 8.269 14.249
S 1.805 7.678 5.993
S 1.810 12.992 22.045
S 2.653 15.660 18.050
S 3.056 0.285 2.204
S 3.052 5.515 18.078
S 3.278 15.537 10.011
S 5.734 15.428 21.889
S 5.778 10.299 6.038
S 5.972 10.933 22.036
S 6.047 0.205 13.973
S 6.512 10.353 14.178
S 6.556 5.131 21.928
S 7.134 13.137 9.918
S 7.220 2.356 2.153
S 7.672 8.248 1.926
S 7.706 2.917 10.032
S 7.919 2.291 18.046
S 7.945 7.466 9.880
O 0.417 14.311 14.518
O 0.436 12.385 12.744
O 0.436 8.870 22.213
O 0.533 1.318 4.712
O 0.533 3.638 6.285
O 0.592 6.860 20.788
O 0.612 1.334 21.886
O 0.622 11.790 15.334
O 0.716 3.874 20.635
O 0.751 3.509 23.295
O 0.782 3.457 13.758
O 0.775 14.109 7.262
O 0.784 6.951 14.235
O 0.794 9.047 15.345
O 0.851 8.782 5.802
O 0.838 14.096 21.943
O 0.894 12.155 5.933
O 0.915 0.913 14.321
O 0.883 6.717 23.221
O 0.973 11.699 22.277
O 1.030 6.405 6.143
O 1.048 14.357 4.842
O 1.243 1.328 7.272
O 1.247 8.980 12.955
O 1.490 4.952 8.654
O 1.513 10.148 0.667
O 1.576 0.132 2.408
O 1.539 5.474 18.271
O 1.537 10.822 9.788
O 1.601 10.490 17.570
O 1.670 5.276 11.319
O 1.763 5.051 2.155
O 1.753 10.514 3.314
O 1.789 15.483 16.864
O 1.816 15.715 9.866
O 1.871 15.913 19.260
O 2.570 7.969 7.193
O 2.589 7.750 21.900
O 2.610 13.209 23.246
O 2.625 12.823 20.831
O 2.685 2.467 15.350
O 2.682 13.033 14.191
O 2.745 7.563 4.797
O 2.856 2.500 5.538
O 2.875 13.504 6.225
O 2.879 8.116 14.475
O 2.884 2.794 21.810
O 2.922 2.143 12.685
O 3.225 0.992 0.903
O 3.219 9.354 19.323
O 3.353 6.327 16.875
O 3.445 3.661 10.281
O 3.463 14.372 18.304
O 3.527 4.127 17.975
O 3.525 14.706 11.195
O 3.572 8.929 2.274
O 3.597 11.502 1.639
O 3.622 14.940 2.152
O 3.629 6.263 9.921
O 3.673 1.030 3.305
O 3.634 6.091 19.294
O 3.660 0.762 17.911
O 3.645 11.552 11.276
O 3.699 11.901 8.615
O 3.820 3.791 3.299
O 3.817 14.824 8.757
O 3.838 9.382 9.863
O 3.904 11.646 18.344
O 3.935 9.327 16.744
O 4.004 0.853 10.150
O 4.011 4.425 0.723
O 4.014 6.341 2.520
O 4.915 6.431 14.317
O 5.017 4.059 12.677
O 5.134 11.671 6.209
O 5.138 0.777 21.810
O 5.178 5.942 7.203
O 5.205 9.635 4.821
O 5.241 14.607 20.700
O 5.400 1.031 5.426
O 5.351 11.591 23.173
O 5.415 9.561 21.943
O 5.399 14.755 23.135
O 5.463 3.975 5.484
O 5.443 14.463 6.306
O 5.520 0.712 15.235
O 5.534 4.092 15.323
O 5.553 9.500 7.233
O 5.584 9.125 14.380
O 5.577 14.817 13.768
O 5.632 6.616 4.706
O 5.609 11.707 20.746
O 5.641 6.289 21.839
O 5.648 11.528 14.156
O 5.793 1.073 12.815
O 5.786 3.862 21.846
O 6.153 8.192 2.072
O 6.125 13.316 18.282
O 6.224 2.814 10.174
O 6.202 7.518 16.703
O 6.206 13.149 8.691
O 6.295 2.429 3.282
O 6.359 13.237 11.147
O 6.466 2.505 17.953
O 6.484 7.650 9.821
O 6.481 8.187 19.237
O 6.540 2.108 0.870
O 6.519 13.278 1.598
O 7.204 5.311 13.652
O 7.195 10.109 12.897
O 7.243 0.207 7.206
O 7.231 10.518 5.908
O 7.204 15.562 21.839
O 7.325 5.230 23.161
O 7.431 10.418 15.312
O 7.450 10.847 22.181
O 7.485 5.136 20.708
O 7.491 15.528 4.677
O 7.605 0.141 14.147
O 7.629 5.345 6.314
O 7.900 11.870 9.831
O 7.995 9.160 0.756
O 8.053 3.670 8.742
O 8.077 3.539 2.123
O 8.046 14.298 9.827
O 8.090 14.596 16.727
O 8.154 1.133 2.355
O 8.163 6.898 1.661
O 8.164 1.492 19.251
O 8.170 12.083 3.295
O 8.238 8.751 3.168
O 8.244 6.805 11.142
O 8.271 1.537 9.947
O 8.245 6.454 18.341
O 8.308 3.563 11.183
O 8.278 11.951 17.525
O 8.322 9.009 17.456
O 8.426 6.656 8.694
O 8.492 1.637 16.842
O 8.461 13.936 19.287
O 8.561 3.664 18.232
O 8.599 8.806 9.808
O 8.706 12.025 0.667
O 8.800 14.443 2.251
```

Calculated total energy in hartree per atom: -0.26850